[1]
Density functional theory data (PBE-GGA) for crystalline TaNbW at its relaxed geometry.

Results
density	14.5	g/cm3
total energy	-35.05	eV/cell

a = 7.2992 Å, b = 7.1085 Å, c = 2.8419 Å
α = 82.42°, β = 74.88°, γ = 22.70°
Closest atoms and distances in Å follow each position.
Fractional coordinates of all 3 atoms:
Ta1 0.6708 0.6708 0.3292  2 W 2.77, 4 Ta 2.84, 2 Nb 2.91
Nb1 0.9967 0.9967 0.0033  2 W 2.80, 4 Nb 2.84, 2 Ta 2.91
W1 0.3326 0.3326 0.6674  2 Ta 2.77, 2 Nb 2.80, 4 W 2.84



[2]
Density functional theory data (PBE-GGA) for crystalline U2Re3Si5 at its relaxed geometry.

Results
density	11.8	g/cm3
total energy	-364.55	eV/cell

a = 10.9650 Å, b = 10.9650 Å, c = 5.4810 Å
α = 90.00°, β = 90.00°, γ = 90.00°
Closest atoms and distances in Å follow each position.
Fractional coordinates of all 40 atoms:
U1 0.5709 0.7365 0.5000  9 Si 2.91-3.19, 2 Re 3.09
U2 0.4291 0.2635 0.5000  9 Si 2.91-3.19, 2 Re 3.09
U3 0.0709 0.7635 0.0000  9 Si 2.91-3.19, 2 Re 3.09
U4 0.9291 0.2365 0.0000  9 Si 2.91-3.19, 2 Re 3.09
U5 0.2635 0.5709 0.5000  9 Si 2.91-3.19, 2 Re 3.09
U6 0.7365 0.4291 0.5000  9 Si 2.91-3.19, 2 Re 3.09
U7 0.2365 0.0709 0.0000  9 Si 2.91-3.19, 2 Re 3.09
U8 0.7635 0.9291 0.0000  9 Si 2.91-3.19, 2 Re 3.09
Re1 0.8743 0.8596 0.5000  6 Si 2.44-2.54
Re2 0.1257 0.1404 0.5000  6 Si 2.44-2.54
Re3 0.3743 0.6404 0.0000  6 Si 2.44-2.54
Re4 0.6257 0.3596 0.0000  6 Si 2.44-2.54
Re5 0.1404 0.8743 0.5000  6 Si 2.44-2.54
Re6 0.8596 0.1257 0.5000  6 Si 2.44-2.54
Re7 0.3596 0.3743 0.0000  6 Si 2.44-2.54
Re8 0.6404 0.6257 0.0000  6 Si 2.44-2.54
Re9 0.5000 0.0000 0.2500  6 Si 2.46-2.74, 2 Re 2.74
Re10 0.0000 0.5000 0.7500  6 Si 2.46-2.74, 2 Re 2.74
Re11 0.0000 0.5000 0.2500  6 Si 2.46-2.74, 2 Re 2.74
Re12 0.5000 0.0000 0.7500  6 Si 2.46-2.74, 2 Re 2.74
Si1 0.6765 0.1765 0.2500  3 Re 2.49-2.74, 4 Si 2.59-2.74
Si2 0.3235 0.8235 0.2500  3 Re 2.49-2.74, 4 Si 2.59-2.74
Si3 0.1765 0.3235 0.7500  3 Re 2.49-2.74, 4 Si 2.59-2.74
Si4 0.8235 0.6765 0.7500  3 Re 2.49-2.74, 4 Si 2.59-2.74
Si5 0.8235 0.6765 0.2500  3 Re 2.49-2.74, 4 Si 2.59-2.74
Si6 0.1765 0.3235 0.2500  3 Re 2.49-2.74, 4 Si 2.59-2.74
Si7 0.6765 0.1765 0.7500  3 Re 2.49-2.74, 4 Si 2.59-2.74
Si8 0.3235 0.8235 0.7500  3 Re 2.49-2.74, 4 Si 2.59-2.74
Si9 0.5000 0.5000 0.2683  4 Re 2.54, 1 Si 2.54
Si10 0.0000 0.0000 0.7683  4 Re 2.54, 1 Si 2.54
Si11 0.5000 0.5000 0.7317  4 Re 2.54, 1 Si 2.54
Si12 0.0000 0.0000 0.2317  4 Re 2.54, 1 Si 2.54
Si13 0.6846 0.9767 0.5000  4 Re 2.44-2.52, 2 Si 2.59
Si14 0.3154 0.0233 0.5000  4 Re 2.44-2.52, 2 Si 2.59
Si15 0.1846 0.5233 0.0000  4 Re 2.44-2.52, 2 Si 2.59
Si16 0.8154 0.4767 0.0000  4 Re 2.44-2.52, 2 Si 2.59
Si17 0.0233 0.6846 0.5000  4 Re 2.44-2.52, 2 Si 2.59
Si18 0.9767 0.3154 0.5000  4 Re 2.44-2.52, 2 Si 2.59
Si19 0.4767 0.1846 0.0000  4 Re 2.44-2.52, 2 Si 2.59
Si20 0.5233 0.8154 0.0000  4 Re 2.44-2.52, 2 Si 2.59



| no. | energy of formation from the pure elements (eV per atom) |
| --- | --- |
| 1 | -0.043 |
| 2 | -0.374 |